No. 1
NaCr5Se8 after structural relaxation. Source: the Materials Project database, functional PBE-GGA.

It has space group C2/m (No. 12), with a = 18.9193 Å, b = 3.6930 Å, c = 9.0042 Å, α = 90.00°, β = 105.11° and γ = 90.00°. The inequivalent atoms are Na at (0.0000, 0.0000, 0.0000), Cr at (0.0000, 0.5000, 0.5000), Cr at (0.1579, 0.0000, 0.4783), Cr at (0.2042, 0.0000, 0.8354), Se at (0.0742, 0.0000, 0.6585), Se at (0.0849, 0.5000, 0.3227), Se at (0.1692, 0.5000, 0.9908) and Se at (0.2390, 0.5000, 0.6576).

The formation enthalpy at 0 K is -0.863 eV/atom.

---

No. 2
Nb3Cr after structural relaxation. Source: the Materials Project database, functional PBE-GGA.

It has space group I4/mmm (No. 139), with a = 3.7934 Å, b = 3.7934 Å, c = 9.5406 Å, α = 90.00°, β = 90.00° and γ = 90.00°. The inequivalent atoms are Nb at (0.0000, 0.0000, 0.0000), Nb at (0.0000, 0.5000, 0.2500) and Cr at (0.0000, 0.0000, 0.5000).

The formation enthalpy at 0 K is 0.276 eV/atom.

---

No. 3
Nb3Cr after structural relaxation. Source: the Materials Project database, functional PBE-GGA.

It has space group Pm-3m (No. 221), with a = 4.1364 Å, b = 4.1364 Å, c = 4.1364 Å, α = 90.00°, β = 90.00° and γ = 90.00°. The inequivalent atoms are Nb at (0.0000, 0.0000, 0.5000) and Cr at (0.5000, 0.5000, 0.5000).

The formation enthalpy at 0 K is 0.389 eV/atom.

---

No. 4
Nb3Cr after structural relaxation. Source: the Materials Project database, functional PBE-GGA.

It has space group Fm-3m (No. 225), with a = 6.4378 Å, b = 6.4378 Å, c = 6.4378 Å, α = 90.00°, β = 90.00° and γ = 90.00°. The inequivalent atoms are Nb at (0.0000, 0.0000, 0.0000), Nb at (0.2500, 0.2500, 0.2500) and Cr at (0.0000, 0.0000, 0.5000).

The formation enthalpy at 0 K is 0.099 eV/atom.

---

no.,final energy (eV per atom)
1,-6.133
2,-9.714
3,-9.600
4,-9.890